[1]
! Ba3Dy2WO9 (PBE+U, optimized geometry); values from VASP
&SYSTEM
  ibrav = 0, nat = 30, ntyp = 4
/
ATOMIC_SPECIES
Ba 137.33 Ba.upf
Dy 162.50 Dy.upf
W 183.84 W.upf
O 16.00 O.upf
ATOMIC_POSITIONS crystal
Ba 0.080 0.340 0.740
Ba 0.234 0.000 0.234
Ba 0.400 0.660 0.740
Ba 0.600 0.340 0.260
Ba 0.766 0.000 0.766
Ba 0.920 0.660 0.260
Dy 0.000 0.500 0.500
Dy 0.172 0.172 0.000
Dy 0.500 0.500 0.000
Dy 0.828 0.828 0.000
W 0.334 0.834 0.500
W 0.666 0.166 0.500
O 0.089 0.339 0.249
O 0.089 0.840 0.751
O 0.102 0.830 0.271
O 0.253 0.500 0.753
O 0.260 0.530 0.270
O 0.260 0.989 0.730
O 0.410 0.139 0.729
O 0.410 0.682 0.271
O 0.441 0.170 0.271
O 0.559 0.830 0.729
O 0.590 0.318 0.729
O 0.590 0.861 0.271
O 0.740 0.011 0.270
O 0.740 0.470 0.730
O 0.747 0.500 0.247
O 0.898 0.170 0.729
O 0.911 0.160 0.249
O 0.911 0.661 0.751
CELL_PARAMETERS angstrom
-3.052 4.327 9.164
3.052 -4.327 9.164
3.052 4.327 -9.164
! Magnetic moment (μB per atom): 0.00
! MP2020-corrected energy (Ry/atom): -0.595
! Energy of formation (eV/f.u.): -49.0

***

[2]
! CaLaMnCrO6 (PBE+U, optimized geometry); values from VASP
&SYSTEM
  ibrav = 0, nat = 20, ntyp = 5
/
ATOMIC_SPECIES
Ca 40.08 Ca.upf
La 138.91 La.upf
Mn 54.94 Mn.upf
Cr 52.00 Cr.upf
O 16.00 O.upf
ATOMIC_POSITIONS crystal
Ca 0.000 0.209 0.000
Ca 0.000 0.791 0.500
La 0.516 0.281 0.500
La 0.516 0.719 0.000
Mn 0.759 0.250 0.249
Mn 0.759 0.750 0.749
Cr 0.260 0.250 0.751
Cr 0.260 0.750 0.251
O 0.000 0.457 0.209
O 0.000 0.543 0.709
O 0.074 0.231 0.495
O 0.074 0.769 0.995
O 0.435 0.264 0.006
O 0.435 0.736 0.506
O 0.520 0.037 0.287
O 0.520 0.963 0.787
O 0.596 0.468 0.792
O 0.596 0.532 0.292
O 0.933 0.028 0.712
O 0.933 0.972 0.212
CELL_PARAMETERS angstrom
5.455 0.000 0.000
0.000 5.489 0.000
-5.441 0.000 7.717
! Magnetic moment (μB per atom): 0.00
! MP2020-corrected energy (Ry/atom): -0.617
! Energy of formation (eV/f.u.): -28.6

***

[3]
! LiFeP4O12 (PBE+U, optimized geometry); values from VASP
&SYSTEM
  ibrav = 0, nat = 36, ntyp = 4
/
ATOMIC_SPECIES
Li 6.94 Li.upf
Fe 55.84 Fe.upf
P 30.97 P.upf
O 16.00 O.upf
ATOMIC_POSITIONS crystal
Li 0.235 0.000 0.148
Li 0.765 0.500 0.852
Fe 0.245 0.797 0.670
Fe 0.755 0.297 0.330
P 0.126 0.428 0.562
P 0.149 0.374 0.194
P 0.418 0.593 0.024
P 0.432 0.182 0.627
P 0.568 0.682 0.373
P 0.582 0.093 0.976
P 0.851 0.874 0.806
P 0.874 0.928 0.438
O 0.053 0.838 0.457
O 0.059 0.887 0.833
O 0.117 0.580 0.661
O 0.207 0.465 0.375
O 0.231 0.214 0.195
O 0.232 0.493 0.057
O 0.284 0.321 0.658
O 0.337 0.025 0.620
O 0.370 0.702 0.876
O 0.420 0.989 0.989
O 0.438 0.702 0.199
O 0.449 0.728 0.521
O 0.551 0.228 0.479
O 0.562 0.202 0.801
O 0.580 0.489 0.011
O 0.630 0.202 0.124
O 0.663 0.525 0.380
O 0.716 0.821 0.342
O 0.768 0.993 0.943
O 0.769 0.714 0.805
O 0.793 0.965 0.625
O 0.883 0.080 0.339
O 0.941 0.387 0.167
O 0.947 0.338 0.543
CELL_PARAMETERS angstrom
7.264 0.000 0.000
0.000 8.462 0.000
-0.277 0.000 7.683
! Magnetic moment (μB per atom): 0.28
! MP2020-corrected energy (Ry/atom): -0.555
! Offset from the most stable computed form (meV/atom): 75
! Energy of formation (eV/f.u.): -44.6

***

[4]
! Mg2Mn3O7 (PBE+U, optimized geometry); values from VASP
&SYSTEM
  ibrav = 0, nat = 24, ntyp = 3
/
ATOMIC_SPECIES
Mg 24.30 Mg.upf
Mn 54.94 Mn.upf
O 16.00 O.upf
ATOMIC_POSITIONS crystal
Mg 0.157 0.158 0.435
Mg 0.325 0.194 0.036
Mg 0.675 0.806 0.964
Mg 0.843 0.842 0.565
Mn 0.071 0.581 0.722
Mn 0.222 0.716 0.142
Mn 0.359 0.863 0.578
Mn 0.641 0.137 0.422
Mn 0.778 0.284 0.858
Mn 0.929 0.419 0.278
O 0.085 0.804 0.377
O 0.108 0.384 0.089
O 0.172 0.930 0.757
O 0.222 0.520 0.507
O 0.342 0.639 0.922
O 0.346 0.063 0.230
O 0.464 0.183 0.616
O 0.536 0.817 0.384
O 0.654 0.937 0.770
O 0.658 0.361 0.078
O 0.778 0.480 0.493
O 0.828 0.070 0.243
O 0.892 0.616 0.911
O 0.915 0.196 0.623
CELL_PARAMETERS angstrom
6.086 0.000 0.000
-1.577 6.450 0.000
-1.226 -3.702 6.813
! Magnetic moment (μB per atom): 0.92
! MP2020-corrected energy (Ry/atom): -0.570
! Offset from the most stable computed form (meV/atom): 0
! Energy of formation (eV/f.u.): -27.7

***

[5]
! Mg14CdFeO16 (PBE+U, optimized geometry); values from VASP
&SYSTEM
  ibrav = 0, nat = 32, ntyp = 4
/
ATOMIC_SPECIES
Mg 24.30 Mg.upf
Cd 112.41 Cd.upf
Fe 55.84 Fe.upf
O 16.00 O.upf
ATOMIC_POSITIONS crystal
Mg 0.000 0.250 0.000
Mg 0.000 0.500 0.500
Mg 0.000 0.750 0.000
Mg 0.245 0.500 0.000
Mg 0.248 0.248 0.500
Mg 0.248 0.752 0.500
Mg 0.250 0.000 0.000
Mg 0.500 0.000 0.500
Mg 0.500 0.245 0.000
Mg 0.500 0.755 0.000
Mg 0.750 0.000 0.000
Mg 0.752 0.248 0.500
Mg 0.752 0.752 0.500
Mg 0.755 0.500 0.000
Cd 0.500 0.500 0.500
Fe 0.000 0.000 0.500
O 0.000 0.000 0.000
O 0.000 0.252 0.500
O 0.000 0.500 0.000
O 0.000 0.748 0.500
O 0.235 0.500 0.500
O 0.250 0.250 0.000
O 0.250 0.750 0.000
O 0.252 0.000 0.500
O 0.500 0.000 0.000
O 0.500 0.235 0.500
O 0.500 0.500 0.000
O 0.500 0.765 0.500
O 0.748 0.000 0.500
O 0.750 0.250 0.000
O 0.750 0.750 0.000
O 0.765 0.500 0.500
CELL_PARAMETERS angstrom
8.613 0.000 0.000
0.000 8.613 0.000
0.000 0.000 4.311
! Magnetic moment (μB per atom): 0.13
! MP2020-corrected energy (Ry/atom): -0.460
! Offset from the most stable computed form (meV/atom): 29
! Energy of formation (eV/f.u.): -89.2

***

[6]
! KHo2CuMo4O16 (PBE+U, optimized geometry); values from VASP
&SYSTEM
  ibrav = 0, nat = 48, ntyp = 5
/
ATOMIC_SPECIES
K 39.10 K.upf
Ho 164.93 Ho.upf
Cu 63.55 Cu.upf
Mo 95.94 Mo.upf
O 16.00 O.upf
ATOMIC_POSITIONS crystal
K 0.029 0.971 0.750
K 0.971 0.029 0.250
Ho 0.145 0.850 0.532
Ho 0.150 0.855 0.968
Ho 0.850 0.145 0.032
Ho 0.855 0.150 0.468
Cu 0.310 0.690 0.750
Cu 0.690 0.310 0.250
Mo 0.249 0.732 0.354
Mo 0.268 0.751 0.146
Mo 0.422 0.546 0.909
Mo 0.454 0.578 0.591
Mo 0.546 0.422 0.409
Mo 0.578 0.454 0.091
Mo 0.732 0.249 0.854
Mo 0.751 0.268 0.646
O 0.013 0.736 0.172
O 0.057 0.580 0.434
O 0.067 0.471 0.287
O 0.094 0.397 0.129
O 0.166 0.504 0.958
O 0.216 0.255 0.537
O 0.225 0.323 0.400
O 0.255 0.216 0.037
O 0.264 0.987 0.328
O 0.304 0.487 0.671
O 0.323 0.225 0.900
O 0.397 0.094 0.629
O 0.420 0.943 0.066
O 0.471 0.067 0.787
O 0.487 0.304 0.171
O 0.496 0.834 0.542
O 0.504 0.166 0.458
O 0.513 0.696 0.829
O 0.529 0.933 0.213
O 0.580 0.057 0.934
O 0.603 0.906 0.371
O 0.677 0.775 0.100
O 0.696 0.513 0.329
O 0.736 0.013 0.672
O 0.745 0.784 0.963
O 0.775 0.677 0.600
O 0.784 0.745 0.463
O 0.834 0.496 0.042
O 0.906 0.603 0.871
O 0.933 0.529 0.713
O 0.943 0.420 0.566
O 0.987 0.264 0.828
CELL_PARAMETERS angstrom
2.641 -6.341 0.000
2.641 6.341 0.000
-1.150 0.000 19.709
! Magnetic moment (μB per atom): 0.00
! MP2020-corrected energy (Ry/atom): -0.595
! Energy of formation (eV/f.u.): -57.5